1.
Entry from the Materials Project database: an optimized crystal structure of CuH44C12N8Cl2O10 (PBE).

abc: 9.5953 9.6197 9.6763
angles: 102.34 119.72 93.06
Fractional coordinates of all 77 atoms:
Cu (0.0000, 0.0000, 0.0000)
H (0.0132, 0.6412, 0.3628)
H (0.0207, 0.8505, 0.5524)
H (0.0343, 0.8817, 0.2458)
H (0.0909, 0.6366, 0.6394)
H (0.1374, 0.2012, 0.9119)
H (0.1634, 0.6391, 0.3038)
H (0.1757, 0.0075, 0.6346)
H (0.1934, 0.8649, 0.8976)
H (0.1965, 0.1890, 0.3125)
H (0.2252, 0.4084, 0.5001)
H (0.2303, 0.8137, 0.0567)
H (0.2989, 0.6329, 0.7862)
H (0.3177, 0.1233, 0.2580)
H (0.3211, 0.2970, 0.5905)
H (0.3280, 0.4476, 0.0135)
H (0.3670, 0.3307, 0.9051)
H (0.3722, 0.8504, 0.4138)
H (0.3760, 0.0081, 0.5561)
H (0.4395, 0.6366, 0.4984)
H (0.4523, 0.0030, 0.8289)
H (0.4948, 0.1578, 0.1055)
H (0.4992, 0.6314, 0.7042)
H (0.5008, 0.3686, 0.2958)
H (0.5052, 0.8422, 0.8945)
H (0.5477, 0.9970, 0.1711)
H (0.5605, 0.3634, 0.5016)
H (0.6240, 0.9919, 0.4439)
H (0.6278, 0.1496, 0.5862)
H (0.6330, 0.6693, 0.0949)
H (0.6720, 0.5524, 0.9865)
H (0.6789, 0.7030, 0.4095)
H (0.6823, 0.8767, 0.7420)
H (0.7011, 0.3671, 0.2138)
H (0.7697, 0.1863, 0.9433)
H (0.7748, 0.5916, 0.4999)
H (0.8035, 0.8110, 0.6875)
H (0.8066, 0.1351, 0.1024)
H (0.8243, 0.9925, 0.3654)
H (0.8366, 0.3609, 0.6962)
H (0.8626, 0.7988, 0.0881)
H (0.9091, 0.3634, 0.3606)
H (0.9657, 0.1183, 0.7542)
H (0.9793, 0.1495, 0.4476)
H (0.9868, 0.3588, 0.6372)
C (0.1416, 0.6782, 0.4054)
C (0.1485, 0.8888, 0.5939)
C (0.2191, 0.6740, 0.6811)
C (0.3494, 0.8891, 0.5151)
C (0.4187, 0.6737, 0.6009)
C (0.4257, 0.8842, 0.7905)
C (0.5743, 0.1158, 0.2095)
C (0.5813, 0.3263, 0.3991)
C (0.6506, 0.1109, 0.4849)
C (0.7809, 0.3260, 0.3189)
C (0.8515, 0.1112, 0.4061)
C (0.8584, 0.3218, 0.5946)
N (0.1757, 0.8384, 0.4549)
N (0.2468, 0.6184, 0.5436)
N (0.2540, 0.8341, 0.7366)
N (0.4591, 0.8338, 0.6562)
N (0.5409, 0.1662, 0.3438)
N (0.7460, 0.1659, 0.2633)
N (0.7532, 0.3816, 0.4564)
N (0.8243, 0.1616, 0.5451)
Cl (0.4511, 0.6920, 0.1784)
Cl (0.5489, 0.3080, 0.8216)
O (0.0541, 0.1119, 0.8637)
O (0.1492, 0.8518, 0.9692)
O (0.2005, 0.1138, 0.2261)
O (0.2205, 0.3027, 0.4894)
O (0.2934, 0.3452, 0.9487)
O (0.7066, 0.6548, 0.0513)
O (0.7795, 0.6973, 0.5106)
O (0.7995, 0.8862, 0.7739)
O (0.8508, 0.1482, 0.0308)
O (0.9459, 0.8881, 0.1363)

* energy of formation: -0.527 eV per atom
* M_tot: 1.0 μB/cell
* VASP energy: -5.425 eV per atom
* excess energy over the best structure of this formula in the dataset: 0.000 eV/atom
* space group: No. 2

---

2.
Entry from the Materials Project database: an optimized crystal structure of CuH14C3S3N6ClO (PBE).

abc: 11.9699 8.4883 15.7090
angles: 90.00 99.43 90.00
Fractional coordinates of all 116 atoms:
Cu (0.1210, 0.1155, 0.2057)
Cu (0.1210, 0.8845, 0.7057)
Cu (0.8790, 0.1155, 0.2943)
Cu (0.8790, 0.8845, 0.7943)
H (0.0190, 0.4206, 0.8906)
H (0.0190, 0.5794, 0.3906)
H (0.0783, 0.4346, 0.1583)
H (0.0783, 0.5654, 0.6583)
H (0.0872, 0.1936, 0.9935)
H (0.0872, 0.8064, 0.4935)
H (0.1376, 0.1731, 0.9096)
H (0.1376, 0.8269, 0.4096)
H (0.1854, 0.4878, 0.9629)
H (0.1854, 0.5122, 0.4629)
H (0.2374, 0.3179, 0.4673)
H (0.2374, 0.6821, 0.9673)
H (0.2997, 0.4015, 0.7734)
H (0.2997, 0.5985, 0.2734)
H (0.3078, 0.0334, 0.1314)
H (0.3078, 0.9666, 0.6314)
H (0.3162, 0.0682, 0.3257)
H (0.3162, 0.9318, 0.8257)
H (0.3810, 0.4985, 0.6241)
H (0.3810, 0.5015, 0.1241)
H (0.3999, 0.1059, 0.0644)
H (0.3999, 0.8941, 0.5644)
H (0.4096, 0.3193, 0.8503)
H (0.4096, 0.6807, 0.3503)
H (0.4201, 0.0654, 0.8779)
H (0.4201, 0.9346, 0.3779)
H (0.4469, 0.3641, 0.0650)
H (0.4469, 0.6359, 0.5650)
H (0.5531, 0.3641, 0.4350)
H (0.5531, 0.6359, 0.9350)
H (0.5799, 0.0654, 0.6221)
H (0.5799, 0.9346, 0.1221)
H (0.5904, 0.3193, 0.6497)
H (0.5904, 0.6807, 0.1497)
H (0.6001, 0.1059, 0.4356)
H (0.6001, 0.8941, 0.9356)
H (0.6190, 0.4985, 0.8759)
H (0.6190, 0.5015, 0.3759)
H (0.6838, 0.0682, 0.1743)
H (0.6838, 0.9318, 0.6743)
H (0.6922, 0.0334, 0.3686)
H (0.6922, 0.9666, 0.8686)
H (0.7003, 0.4015, 0.7266)
H (0.7003, 0.5985, 0.2266)
H (0.7626, 0.3179, 0.0327)
H (0.7626, 0.6821, 0.5327)
H (0.8146, 0.4878, 0.5371)
H (0.8146, 0.5122, 0.0371)
H (0.8624, 0.1731, 0.5904)
H (0.8624, 0.8269, 0.0904)
H (0.9128, 0.1936, 0.5065)
H (0.9128, 0.8064, 0.0065)
H (0.9217, 0.4346, 0.3417)
H (0.9217, 0.5654, 0.8417)
H (0.9810, 0.4206, 0.6094)
H (0.9810, 0.5794, 0.1094)
C (0.0759, 0.3519, 0.3991)
C (0.0759, 0.6481, 0.8991)
C (0.2931, 0.1621, 0.7906)
C (0.2931, 0.8379, 0.2906)
C (0.3365, 0.2712, 0.1387)
C (0.3365, 0.7288, 0.6387)
C (0.6635, 0.2712, 0.3613)
C (0.6635, 0.7288, 0.8613)
C (0.7069, 0.1621, 0.7094)
C (0.7069, 0.8379, 0.2094)
C (0.9241, 0.3519, 0.1009)
C (0.9241, 0.6481, 0.6009)
S (0.0528, 0.1559, 0.3716)
S (0.0528, 0.8441, 0.8716)
S (0.1672, 0.1395, 0.7208)
S (0.1672, 0.8605, 0.2208)
S (0.2515, 0.3118, 0.2146)
S (0.2515, 0.6882, 0.7146)
S (0.7485, 0.3118, 0.2854)
S (0.7485, 0.6882, 0.7854)
S (0.8328, 0.1395, 0.7792)
S (0.8328, 0.8605, 0.2792)
S (0.9472, 0.1559, 0.1284)
S (0.9472, 0.8441, 0.6284)
N (0.9999, 0.4645, 0.1266)
N (0.0001, 0.4645, 0.3734)
N (0.9999, 0.5355, 0.6266)
N (0.0001, 0.5355, 0.8734)
N (0.1739, 0.3959, 0.4473)
N (0.1739, 0.6041, 0.9473)
N (0.3389, 0.3060, 0.8039)
N (0.3389, 0.6940, 0.3039)
N (0.3480, 0.0427, 0.8344)
N (0.3480, 0.9573, 0.3344)
N (0.3492, 0.1257, 0.1096)
N (0.3492, 0.8743, 0.6096)
N (0.3940, 0.3880, 0.1087)
N (0.3940, 0.6120, 0.6087)
N (0.6060, 0.3880, 0.3913)
N (0.6060, 0.6120, 0.8913)
N (0.6508, 0.1257, 0.3904)
N (0.6508, 0.8743, 0.8904)
N (0.6520, 0.0427, 0.6656)
N (0.6520, 0.9573, 0.1656)
N (0.6611, 0.3060, 0.6961)
N (0.6611, 0.6940, 0.1961)
N (0.8261, 0.3959, 0.0527)
N (0.8261, 0.6041, 0.5527)
Cl (0.4519, 0.2377, 0.5332)
Cl (0.4519, 0.7623, 0.0332)
Cl (0.5481, 0.2377, 0.9668)
Cl (0.5481, 0.7623, 0.4668)
O (0.1164, 0.2532, 0.9486)
O (0.1164, 0.7468, 0.4486)
O (0.8836, 0.2532, 0.5514)
O (0.8836, 0.7468, 0.0514)

* energy of formation: -0.424 eV per atom
* M_tot: 0.0 μB/cell
* VASP energy: -5.470 eV per atom
* space group: No. 13